No. 1
# BaHo2Te4

An optimized crystal structure of BaHo2Te4 (r2SCAN, the Materials Project database).

abc: 4.4688 13.7678 16.2158
angles: 90.00 90.00 90.00
Closest atoms and distances in Å follow each position.
Fractional positions:
Ba1 0.7500 0.2613 0.8305  8 Te 3.56-3.74
Ba2 0.2500 0.7387 0.1695  8 Te 3.56-3.74
Ba3 0.7500 0.7613 0.6695  8 Te 3.56-3.74
Ba4 0.2500 0.2387 0.3305  8 Te 3.56-3.74
Ho1 0.2500 0.0809 0.5968  6 Te 3.04-3.13
Ho2 0.7500 0.9191 0.4032  6 Te 3.04-3.13
Ho3 0.2500 0.5809 0.9032  6 Te 3.04-3.13
Ho4 0.7500 0.4191 0.0968  6 Te 3.04-3.13
Ho5 0.7500 0.9411 0.8902  6 Te 3.04-3.11
Ho6 0.2500 0.0589 0.1098  6 Te 3.04-3.11
Ho7 0.7500 0.4411 0.6098  6 Te 3.04-3.11
Ho8 0.2500 0.5589 0.3902  6 Te 3.04-3.11
Te1 0.2500 0.4726 0.2157  3 Ho 3.04-3.07
Te2 0.7500 0.5274 0.7843  3 Ho 3.04-3.07
Te3 0.2500 0.9726 0.2843  3 Ho 3.04-3.07
Te4 0.7500 0.0274 0.7157  3 Ho 3.04-3.07
Te5 0.2500 0.3740 0.9719  3 Ho 3.06-3.08
Te6 0.7500 0.6260 0.0281  3 Ho 3.06-3.08
Te7 0.2500 0.8740 0.5281  3 Ho 3.06-3.08
Te8 0.7500 0.1260 0.4719  3 Ho 3.06-3.08
Te9 0.2500 0.2957 0.6593  3 Ho 3.11-3.13
Te10 0.7500 0.7043 0.3407  3 Ho 3.11-3.13
Te11 0.2500 0.7957 0.8407  3 Ho 3.11-3.13
Te12 0.7500 0.2043 0.1593  3 Ho 3.11-3.13
Te13 0.7500 0.4107 0.4243  3 Ho 3.04-3.08
Te14 0.2500 0.5893 0.5757  3 Ho 3.04-3.08
Te15 0.7500 0.9107 0.0757  3 Ho 3.04-3.08
Te16 0.2500 0.0893 0.9243  3 Ho 3.04-3.08

Calculated values
* volume: 249.4 Å³/f.u.
* formation enthalpy at 0 K: -1809 meV/atom

No. 2
# SbKr3F11

An optimized crystal structure of SbKr3F11 (r2SCAN, the Materials Project database).

abc: 7.9544 8.5125 8.9458
angles: 110.79 115.99 83.27
Closest atoms and distances in Å follow each position.
Fractional positions:
Sb1 0.2886 0.6784 0.2197  6 F 1.89-1.90
Sb2 0.7114 0.3216 0.7803  6 F 1.89-1.90
Kr1 0.6863 0.3258 0.2699  1 F 1.83
Kr2 0.3137 0.6742 0.7301  1 F 1.83
Kr3 0.2289 0.1643 0.2204  1 F 1.84
Kr4 0.7711 0.8357 0.7796  1 F 1.84
Kr5 0.8075 0.8525 0.2923  2 F 1.92
Kr6 0.1925 0.1475 0.7077  2 F 1.92
F1 0.9803 0.1160 0.1481  1 Kr 1.84
F2 0.0197 0.8840 0.8519  1 Kr 1.84
F3 0.9406 0.7887 0.4981  1 Kr 1.92
F4 0.0594 0.2113 0.5019  1 Kr 1.92
F5 0.6780 0.9234 0.0907  1 Kr 1.92
F6 0.3220 0.0766 0.9093  1 Kr 1.92
F7 0.2577 0.8867 0.3768  1 Sb 1.90
F8 0.7423 0.1133 0.6232  1 Sb 1.90
F9 0.4558 0.3179 0.6191  1 Sb 1.90
F10 0.5442 0.6821 0.3809  1 Sb 1.90
F11 0.6360 0.2029 0.8868  1 Sb 1.90
F12 0.3640 0.7971 0.1132  1 Sb 1.90
F13 0.9636 0.3186 0.9405  1 Sb 1.89
F14 0.0364 0.6814 0.0595  1 Sb 1.89
F15 0.6739 0.5295 0.9321  1 Sb 1.89
F16 0.3261 0.4705 0.0679  1 Sb 1.89
F17 0.4864 0.8071 0.6938  2 Kr 2.06-2.07
F18 0.5136 0.1929 0.3062  2 Kr 2.06-2.07
F19 0.7791 0.4386 0.6680  1 Sb 1.90
F20 0.2209 0.5614 0.3320  1 Sb 1.90
F21 0.1447 0.5576 0.7441  1 Kr 1.83
F22 0.8553 0.4424 0.2559  1 Kr 1.83

Calculated values
* volume: 254.3 Å³/f.u.
* formation enthalpy at 0 K: -981 meV/atom

No. 3
# Tm2CdSe4

An optimized crystal structure of Tm2CdSe4 (r2SCAN, the Materials Project database).

abc: 8.2065 8.2065 8.2065
angles: 60.00 60.00 60.00
Closest atoms and distances in Å follow each position.
Fractional positions:
Tm1 0.5000 0.5000 0.0000  6 Se 2.82
Tm2 0.5000 0.5000 0.5000  6 Se 2.82
Tm3 0.0000 0.5000 0.5000  6 Se 2.82
Tm4 0.5000 0.0000 0.5000  6 Se 2.82
Cd1 0.8750 0.8750 0.8750  4 Se 2.67
Cd2 0.1250 0.1250 0.1250  4 Se 2.67
Se1 0.7424 0.7424 0.7424  1 Cd 2.67, 3 Tm 2.82
Se2 0.2576 0.2576 0.7271  1 Cd 2.67, 3 Tm 2.82
Se3 0.2576 0.7271 0.2576  1 Cd 2.67, 3 Tm 2.82
Se4 0.7271 0.2576 0.2576  1 Cd 2.67, 3 Tm 2.82
Se5 0.7424 0.2729 0.7424  1 Cd 2.67, 3 Tm 2.82
Se6 0.2729 0.7424 0.7424  1 Cd 2.67, 3 Tm 2.82
Se7 0.2576 0.2576 0.2576  1 Cd 2.67, 3 Tm 2.82
Se8 0.7424 0.7424 0.2729  1 Cd 2.67, 3 Tm 2.82

Calculated values
* volume: 195.4 Å³/f.u.
* formation enthalpy at 0 K: -1769 meV/atom

No. 4
# USeO6

An optimized crystal structure of USeO6 (r2SCAN, the Materials Project database).

abc: 5.5551 6.8965 13.3357
angles: 75.67 90.00 90.00
Closest atoms and distances in Å follow each position.
Fractional positions:
U1 0.2050 0.3365 0.8513  2 O 1.78-1.84
U2 0.7050 0.6635 0.6487  2 O 1.78-1.84
U3 0.7950 0.6635 0.1487  2 O 1.78-1.84
U4 0.2950 0.3365 0.3513  2 O 1.78-1.84
Se1 0.0507 0.7985 0.3876  4 O 1.64-1.65
Se2 0.4493 0.7985 0.8876  4 O 1.64-1.65
Se3 0.9493 0.2015 0.6124  4 O 1.64-1.65
Se4 0.5507 0.2015 0.1124  4 O 1.64-1.65
O1 0.4844 0.4299 0.7819  1 U 1.84
O2 0.2899 0.6573 0.3849  1 Se 1.65
O3 0.0774 0.7374 0.0887  1 U 1.78
O4 0.4226 0.7374 0.5887  1 U 1.78
O5 0.5774 0.2626 0.4113  1 U 1.78
O6 0.6072 0.8268 0.7803  1 Se 1.65
O7 0.5156 0.5701 0.2181  1 U 1.84
O8 0.3605 0.0184 0.8993  1 Se 1.64
O9 0.1072 0.1732 0.7197  1 Se 1.65
O10 0.7899 0.3427 0.1151  1 Se 1.65
O11 0.9226 0.2626 0.9113  1 U 1.78
O12 0.8605 0.9816 0.6007  1 Se 1.64
O13 0.9844 0.5701 0.7181  1 U 1.84
O14 0.6395 0.9816 0.1007  1 Se 1.64
O15 0.3928 0.1732 0.2197  1 Se 1.65
O16 0.8764 0.6959 0.4858  1 Se 1.64
O17 0.1395 0.0184 0.3993  1 Se 1.64
O18 0.1236 0.3041 0.5142  1 Se 1.64
O19 0.2101 0.6573 0.8849  1 Se 1.65
O20 0.6236 0.6959 0.9858  1 Se 1.64
O21 0.8928 0.8268 0.2803  1 Se 1.65
O22 0.3764 0.3041 0.0142  1 Se 1.64
O23 0.0156 0.4299 0.2819  1 U 1.84
O24 0.7101 0.3427 0.6151  1 Se 1.65

Calculated values
* volume: 123.7 Å³/f.u.
* formation enthalpy at 0 K: -1964 meV/atom